This record from the Materials Project describes a relaxed structure of SrSn3Pd. The functional is r²SCAN.

Cell and atoms, written as extended XYZ:
```
10
Lattice="4.805 0.000 0.000 0.000 4.805 0.000 0.000 0.000 11.423" Properties=species:S:1:pos:R:3 pbc="T T T"
Sr 0.000 0.000 0.000
Sr 2.403 2.403 5.711
Sn 0.000 0.000 4.733
Sn 0.000 2.403 2.841
Sn 0.000 2.403 8.553
Sn 2.403 0.000 2.841
Sn 2.403 0.000 8.553
Sn 2.403 2.403 10.444
Pd 0.000 0.000 7.355
Pd 2.403 2.403 1.644
```

E_form   -0.583 eV/atom
E_tot   -230.52 eV for the cell shown
Space-group type   I4mm, No. 107
Total moment   0.000 μB/cell